MgMn6O7F5: optimized geometry, PBE+U.

abc: 5.3256 7.7912 5.7353
angles: 96.79 97.70 83.00
Element x y z (fractional)
1 Mg 0.9487 0.8638 0.3337
2 Mn 0.4480 0.9887 0.5624
3 Mn 0.5037 0.6356 0.1844
4 Mn 0.5138 0.3311 0.8283
5 Mn 0.9901 0.6527 0.7174
6 Mn 0.0033 0.3210 0.3333
7 Mn 0.0205 0.0353 0.9273
8 O 0.8924 0.1012 0.2220
9 O 0.7157 0.1100 0.7435
10 O 0.6702 0.7726 0.4724
11 O 0.7248 0.4267 0.1186
12 O 0.3174 0.5513 0.8934
13 O 0.2922 0.2268 0.5487
14 O 0.1532 0.8923 0.6588
15 F 0.8060 0.4327 0.6251
16 F 0.8066 0.7782 0.0079
17 F 0.2761 0.8647 0.1780
18 F 0.1462 0.5648 0.3726
19 F 0.2712 0.2089 0.0339

space-group type: P1
energy relative to the lowest polymorph listed for this composition: 47 meV per atom
final energy: -6.76 eV per atom
total magnetization: 25.00 μB per formula unit
energy of formation from the pure elements: -2.3584 eV per atom

MgMn6O7F5: optimized geometry, PBE+U.

abc: 5.4701 7.5797 5.7855
angles: 96.62 83.30 91.52
Element x y z (fractional)
1 Mg 0.0035 0.5036 0.0064
2 Mn 0.5080 0.9898 0.4833
3 Mn 0.5022 0.6663 0.1330
4 Mn 0.5109 0.3390 0.8354
5 Mn 0.9175 0.7105 0.5878
6 Mn 0.0467 0.1681 0.5368
7 Mn 0.9964 0.9858 0.0047
8 O 0.8510 0.7545 0.9488
9 O 0.8250 0.0610 0.3202
10 O 0.6061 0.7511 0.4359
11 O 0.6530 0.4396 0.1043
12 O 0.3504 0.5583 0.8648
13 O 0.3842 0.2339 0.5491
14 O 0.1466 0.9470 0.6510
15 F 0.9039 0.4153 0.6591
16 F 0.6995 0.1102 0.8089
17 F 0.3345 0.9084 0.1485
18 F 0.1277 0.5921 0.3030
19 F 0.1328 0.2405 0.0118

space-group type: P1
energy relative to the lowest polymorph listed for this composition: 47 meV per atom
final energy: -6.76 eV per atom
total magnetization: 25.00 μB per formula unit
energy of formation from the pure elements: -2.3581 eV per atom